VASP calculation (GGA+U) on crystalline NaW2O6 at its relaxed geometry.

Output
space-group type	I4/mmm, No. 139
energy above the most stable polymorph in this dataset	0.000	eV per atom
V	13.19	Å³ per atom
calculated density	6.81	g/cm³
E_form	-2.183	eV per atom
crystal system	tetragonal

Cell lengths 6.756, 6.756, 6.756 Å; angles 109.41, 109.41, 109.59 degrees
Element x y z (fractional)
Na  0.500  0.500  0.000
Na  0.000  0.000  0.000
W  0.000  0.000  0.500
W  0.500  0.500  0.500
W  0.500  0.000  0.000
W  0.000  0.500  0.000
O  0.233  0.233  0.467
O  0.767  0.767  0.533
O  0.767  0.233  0.000
O  0.233  0.767  0.000
O  0.979  0.733  0.245
O  0.488  0.733  0.755
O  0.733  0.979  0.245
O  0.733  0.488  0.755
O  0.021  0.267  0.755
O  0.512  0.267  0.245
O  0.267  0.021  0.755
O  0.267  0.512  0.245